Density functional theory data (PBE with a Hubbard U) for a relaxed Li2CoSi2O6 crystal.

The structure in POSCAR format:
```
Li2CoSi2O6
1.0
6.6401 2.5681 1.4719
3.7003 -9.6970 0.2218
0.4283 2.7585 -6.7497
Li Co Si O
8 4 8 24
Direct
0.7195 0.8332 0.1899
0.2195 0.8332 0.6899
0.4686 0.6665 0.3561
0.9686 0.6665 0.8561
0.4693 0.3331 0.6441
0.9693 0.3331 0.1441
0.7190 0.1664 0.8106
0.2190 0.1664 0.3106
0.2169 0.4998 0.5005
0.9669 0.9997 0.0000
0.7169 0.4998 0.0005
0.4669 0.9997 0.5000
0.2854 0.8357 0.1078
0.7854 0.8357 0.6078
0.5355 0.6639 0.7720
0.0355 0.6639 0.2720
0.5353 0.3357 0.2286
0.0353 0.3357 0.7286
0.2854 0.1638 0.8925
0.7854 0.1639 0.3925
0.3218 0.9867 0.2686
0.8218 0.9867 0.7685
0.5718 0.5129 0.7819
0.0718 0.5129 0.2819
0.5713 0.4868 0.2187
0.0713 0.4867 0.7187
0.3218 0.0129 0.7315
0.8218 0.0129 0.2315
0.1287 0.8324 0.9460
0.6287 0.8325 0.4460
0.8788 0.6669 0.1133
0.3788 0.6669 0.6134
0.3786 0.3326 0.3872
0.8786 0.3326 0.8872
0.1288 0.1669 0.0542
0.6288 0.1669 0.5542
0.2345 0.7262 0.2235
0.7345 0.7262 0.7235
0.4844 0.7734 0.9971
0.9844 0.7734 0.4971
0.4844 0.2261 0.0035
0.9844 0.2261 0.5035
0.2344 0.2737 0.7773
0.7344 0.2737 0.2773
```

Spin magnetization, μB/f.u.: 0.0
Total energy after the MP2020 corrections, eV per atom: -7.39
Total DFT energy (no corrections), eV/atom: -6.86
Relative energy among the computed polymorphs, meV per atom: 0.0